# Li2MnFeP2O8 GGA+U relaxed
data_Li2MnFeP2O8
_cell_length_a 9.542
_cell_length_b 6.131
_cell_length_c 10.505
_cell_angle_alpha 90.00
_cell_angle_beta 90.07
_cell_angle_gamma 90.00
_symmetry_space_group_name_H-M 'P 1 m 1'
_symmetry_Int_Tables_number 6
loop_
_symmetry_equiv_pos_as_xyz
'x,y,z'
'x,-y,z'
loop_
_atom_site_label
_atom_site_fract_x
_atom_site_fract_y
_atom_site_fract_z
Li1 0.000 0.249 0.000
Li2 0.250 0.249 0.500
Li3 0.500 0.249 0.000
Li4 0.750 0.250 0.500
Mn1 0.012 0.500 0.718
Mn2 0.237 0.500 0.218
Mn3 0.513 0.500 0.718
Mn4 0.987 0.000 0.281
Fe1 0.263 0.000 0.782
Fe2 0.487 0.000 0.282
Fe3 0.736 0.500 0.218
Fe4 0.763 0.000 0.782
P1 0.044 0.000 0.594
P2 0.208 0.000 0.092
P3 0.292 0.500 0.907
P4 0.458 0.500 0.406
P5 0.544 0.000 0.594
P6 0.706 0.000 0.093
P7 0.792 0.500 0.908
P8 0.955 0.500 0.406
O1 0.105 0.000 0.457
O2 0.112 0.201 0.664
O3 0.116 0.500 0.404
O4 0.131 0.500 0.905
O5 0.140 0.201 0.162
O6 0.147 0.000 0.955
O7 0.356 0.500 0.043
O8 0.357 0.297 0.836
O9 0.369 0.000 0.097
O10 0.382 0.000 0.597
O11 0.392 0.297 0.336
O12 0.395 0.500 0.542
O13 0.603 0.000 0.455
O14 0.612 0.201 0.663
O15 0.619 0.500 0.404
O16 0.631 0.500 0.905
O17 0.641 0.202 0.164
O18 0.645 0.000 0.956
O19 0.854 0.500 0.044
O20 0.857 0.297 0.837
O21 0.868 0.000 0.096
O22 0.883 0.000 0.597
O23 0.888 0.299 0.336
O24 0.894 0.500 0.544
# Energy of formation   -2554 meV/atom
# Corrected total energy (MP2020 scheme)   -7.6873 eV per atom
# Offset from the most stable computed form   2 meV/atom
# Theoretical density   3.4 g cm⁻³



# CsVOF4 GGA+U relaxed
data_CsVOF4
_cell_length_a 5.654
_cell_length_b 6.475
_cell_length_c 14.914
_cell_angle_alpha 90.00
_cell_angle_beta 90.00
_cell_angle_gamma 90.00
_symmetry_space_group_name_H-M 'P n m a'
_symmetry_Int_Tables_number 62
loop_
_symmetry_equiv_pos_as_xyz
'x,y,z'
'-x,-y,-z'
'-x+1/2,-y,z+1/2'
'x+1/2,y,-z+1/2'
'x+1/2,-y+1/2,-z+1/2'
'-x+1/2,y+1/2,z+1/2'
'-x,y+1/2,-z'
'x,-y+1/2,z'
loop_
_atom_site_label
_atom_site_fract_x
_atom_site_fract_y
_atom_site_fract_z
Cs1 0.033 0.250 0.128
V1 0.011 0.750 0.359
O1 0.187 0.250 0.563
F1 0.053 0.028 0.338
F2 0.178 0.250 0.742
F3 0.213 0.250 0.924
# Energy of formation   -2950 meV/atom
# Corrected total energy (MP2020 scheme)   -6.1769 eV per atom
# Theoretical density   3.4 g cm⁻³



# Li2FeB2O6 GGA+U relaxed
data_Li2FeB2O6
_cell_length_a 5.240
_cell_length_b 8.998
_cell_length_c 11.092
_cell_angle_alpha 90.00
_cell_angle_beta 115.20
_cell_angle_gamma 90.00
_symmetry_space_group_name_H-M 'P 1 21/c 1'
_symmetry_Int_Tables_number 14
loop_
_symmetry_equiv_pos_as_xyz
'x,y,z'
'-x,-y,-z'
'-x,y+1/2,-z+1/2'
'x,-y+1/2,z+1/2'
loop_
_atom_site_label
_atom_site_fract_x
_atom_site_fract_y
_atom_site_fract_z
Li1 0.049 0.165 0.370
Li2 0.444 0.510 0.113
Fe1 0.478 0.173 0.127
B1 0.051 0.669 0.881
B2 0.466 0.662 0.631
O1 0.126 0.702 0.336
O2 0.190 0.173 0.596
O3 0.210 0.544 0.905
O4 0.365 0.185 0.935
O5 0.376 0.711 0.173
O6 0.396 0.524 0.658
# Energy of formation   -2298 meV/atom
# Corrected total energy (MP2020 scheme)   -7.3288 eV per atom
# Offset from the most stable computed form   16 meV/atom
# Theoretical density   2.6 g cm⁻³



# K2CoS2O10 GGA+U relaxed
data_K2CoS2O10
_cell_length_a 5.205
_cell_length_b 14.069
_cell_length_c 6.883
_cell_angle_alpha 90.00
_cell_angle_beta 109.80
_cell_angle_gamma 90.00
_symmetry_space_group_name_H-M 'P 1 21/c 1'
_symmetry_Int_Tables_number 14
loop_
_symmetry_equiv_pos_as_xyz
'x,y,z'
'-x,-y,-z'
'-x,y+1/2,-z+1/2'
'x,-y+1/2,z+1/2'
loop_
_atom_site_label
_atom_site_fract_x
_atom_site_fract_y
_atom_site_fract_z
K1 0.217 0.150 0.080
Co1 0.000 0.000 0.500
S1 0.445 0.599 0.799
O1 0.035 0.615 0.103
O2 0.207 0.537 0.790
O3 0.332 0.029 0.717
O4 0.373 0.658 0.613
O5 0.451 0.154 0.508
# Energy of formation   -1637 meV/atom
# Corrected total energy (MP2020 scheme)   -6.1090 eV per atom
# Theoretical density   2.5 g cm⁻³



> Look up the energy of formation of the fourth one.

-1637 meV/atom